[1]
Material: FeSO7
Method: DFT, GGA+U
State: optimized geometry

Lattice parameters (Å, degrees): 19.5206 6.9901 7.4784 90.00 90.00 90.00
Last column: nearest neighbours and their distance in Å.
Atoms (fractional coordinates):
Fe1 0.1269 0.0009 0.2040  6 O 1.79-1.95
Fe2 0.1269 0.4991 0.2040  6 O 1.79-1.95
Fe3 0.3731 0.5009 0.7040  6 O 1.79-1.95
Fe4 0.3731 0.9991 0.7040  6 O 1.79-1.95
Fe5 0.6269 0.0009 0.2960  6 O 1.79-1.95
Fe6 0.6269 0.4991 0.2960  6 O 1.79-1.95
Fe7 0.8731 0.5009 0.7960  6 O 1.79-1.95
Fe8 0.8731 0.9991 0.7960  6 O 1.79-1.95
S1 0.1202 0.7500 0.5516  4 O 1.47-1.51
S2 0.1272 0.2500 0.8611  4 O 1.44-1.54
S3 0.3728 0.7500 0.3611  4 O 1.44-1.54
S4 0.3798 0.2500 0.0516  4 O 1.47-1.51
S5 0.6202 0.7500 0.9484  4 O 1.47-1.51
S6 0.6272 0.2500 0.6389  4 O 1.44-1.54
S7 0.8728 0.7500 0.1389  4 O 1.44-1.54
S8 0.8798 0.2500 0.4484  4 O 1.47-1.51
O1 0.0350 0.5343 0.2226  1 Fe 1.82
O2 0.0350 0.9657 0.2226  1 Fe 1.82
O3 0.0457 0.7500 0.5822  1 S 1.47
O4 0.0922 0.2500 0.6914  1 S 1.44
O5 0.1028 0.0731 0.9653  1 S 1.54
O6 0.1028 0.4269 0.9653  1 S 1.54
O7 0.1244 0.7500 0.1222  2 Fe 1.86
O8 0.1292 0.2500 0.2892  2 Fe 1.85
O9 0.1434 0.5742 0.4509  1 S 1.51
O10 0.1434 0.9258 0.4509  1 S 1.51
O11 0.1555 0.7500 0.7249  1 S 1.47
O12 0.2027 0.2500 0.8534  1 S 1.47
O13 0.2167 0.0397 0.1743  1 Fe 1.79
O14 0.2167 0.4603 0.1743  1 Fe 1.79
O15 0.2833 0.5397 0.6743  1 Fe 1.79
O16 0.2833 0.9603 0.6743  1 Fe 1.79
O17 0.2973 0.7500 0.3534  1 S 1.47
O18 0.3445 0.2500 0.2249  1 S 1.47
O19 0.3566 0.0742 0.9509  1 S 1.51
O20 0.3566 0.4258 0.9509  1 S 1.51
O21 0.3708 0.7500 0.7892  2 Fe 1.85
O22 0.3756 0.2500 0.6222  2 Fe 1.86
O23 0.3972 0.5731 0.4653  1 S 1.54
O24 0.3972 0.9269 0.4653  1 S 1.54
O25 0.4078 0.7500 0.1914  1 S 1.44
O26 0.4543 0.2500 0.0822  1 S 1.47
O27 0.4650 0.0343 0.7226  1 Fe 1.82
O28 0.4650 0.4657 0.7226  1 Fe 1.82
O29 0.5350 0.5343 0.2774  1 Fe 1.82
O30 0.5350 0.9657 0.2774  1 Fe 1.82
O31 0.5457 0.7500 0.9178  1 S 1.47
O32 0.5922 0.2500 0.8086  1 S 1.44
O33 0.6028 0.0731 0.5347  1 S 1.54
O34 0.6028 0.4269 0.5347  1 S 1.54
O35 0.6244 0.7500 0.3778  2 Fe 1.86
O36 0.6292 0.2500 0.2108  2 Fe 1.85
O37 0.6434 0.5742 0.0491  1 S 1.51
O38 0.6434 0.9258 0.0491  1 S 1.51
O39 0.6555 0.7500 0.7751  1 S 1.47
O40 0.7027 0.2500 0.6466  1 S 1.47
O41 0.7167 0.0397 0.3257  1 Fe 1.79
O42 0.7167 0.4603 0.3257  1 Fe 1.79
O43 0.7833 0.5397 0.8257  1 Fe 1.79
O44 0.7833 0.9603 0.8257  1 Fe 1.79
O45 0.7973 0.7500 0.1466  1 S 1.47
O46 0.8445 0.2500 0.2751  1 S 1.47
O47 0.8566 0.0742 0.5491  1 S 1.51
O48 0.8566 0.4258 0.5491  1 S 1.51
O49 0.8708 0.7500 0.7108  2 Fe 1.85
O50 0.8756 0.2500 0.8778  2 Fe 1.86
O51 0.8972 0.5731 0.0347  1 S 1.54
O52 0.8972 0.9269 0.0347  1 S 1.54
O53 0.9078 0.7500 0.3086  1 S 1.44
O54 0.9543 0.2500 0.4178  1 S 1.47
O55 0.9650 0.0343 0.7774  1 Fe 1.82
O56 0.9650 0.4657 0.7774  1 Fe 1.82

Summary:
Energy above the most stable polymorph in this dataset (eV/f.u.): 0.17
Calculated formation energy (eV/atom): -0.76
Uncorrected energy (eV per atom): -5.228
Size of the total moment (μB per atom): 0.667

---

[2]
Material: Ca4Mn2O7
Method: DFT, GGA+U
State: optimized geometry

Lattice parameters (Å, degrees): 6.7365 6.7365 10.1011 90.00 90.00 47.46
Last column: nearest neighbours and their distance in Å.
Atoms (fractional coordinates):
Ca1 0.0547 0.6409 0.8749  5 O 2.29-2.54
Ca2 0.1409 0.5547 0.3749  5 O 2.29-2.54
Ca3 0.3591 0.9453 0.8749  5 O 2.29-2.54
Ca4 0.4453 0.8591 0.3749  5 O 2.29-2.54
Ca5 0.5547 0.1409 0.6251  5 O 2.29-2.54
Ca6 0.6409 0.0547 0.1251  5 O 2.29-2.54
Ca7 0.8591 0.4453 0.6251  5 O 2.29-2.54
Ca8 0.9453 0.3591 0.1251  5 O 2.29-2.54
Mn1 0.2323 0.7677 0.6247  5 O 1.87-2.08
Mn2 0.2677 0.7323 0.1247  5 O 1.87-2.08
Mn3 0.7323 0.2677 0.8753  5 O 1.87-2.08
Mn4 0.7677 0.2323 0.3753  5 O 1.87-2.08
O1 0.0000 0.0000 0.0000  2 Mn 1.92
O2 0.0776 0.6002 0.6202  1 Mn 1.99
O3 0.0874 0.9126 0.3070  2 Mn 1.87-2.08
O4 0.1002 0.5776 0.1202  1 Mn 1.99
O5 0.3998 0.9224 0.6202  1 Mn 1.99
O6 0.4126 0.5874 0.8070  2 Mn 1.87-2.08
O7 0.4224 0.8998 0.1202  1 Mn 1.99
O8 0.5000 0.5000 0.5000  2 Mn 1.92
O9 0.5776 0.1002 0.8798  1 Mn 1.99
O10 0.5874 0.4126 0.1930  2 Mn 1.87-2.08
O11 0.6002 0.0776 0.3798  1 Mn 1.99
O12 0.8998 0.4224 0.8798  1 Mn 1.99
O13 0.9126 0.0874 0.6930  2 Mn 1.87-2.08
O14 0.9224 0.3998 0.3798  1 Mn 1.99

Summary:
Calculated formation energy (eV/atom): -2.81
Uncorrected energy (eV per atom): -6.871
Size of the total moment (μB per atom): 0.000

---

[3]
Material: NaNiO2
Method: DFT, GGA+U
State: optimized geometry

Lattice parameters (Å, degrees): 2.9988 2.9988 10.6790 90.00 90.00 120.00
Last column: nearest neighbours and their distance in Å.
Atoms (fractional coordinates):
Na1 0.3333 0.6667 0.2500  6 O 2.38
Na2 0.6667 0.3333 0.7500  6 O 2.38
Ni1 0.0000 0.0000 0.0000  6 O 2.02
Ni2 0.0000 0.0000 0.5000  6 O 2.02
O1 0.3333 0.6667 0.5971  3 Ni 2.02
O2 0.3333 0.6667 0.9029  3 Ni 2.02
O3 0.6667 0.3333 0.0971  3 Ni 2.02
O4 0.6667 0.3333 0.4029  3 Ni 2.02

Summary:
Calculated formation energy (eV/atom): -1.31
Uncorrected energy (eV per atom): -4.581
Size of the total moment (μB per atom): 0.251

---

[4]
Material: NaMgV2Bi3O10
Method: DFT, GGA+U
State: optimized geometry

Lattice parameters (Å, degrees): 6.0715 7.1047 7.4379 108.22 105.00 96.26
Last column: nearest neighbours and their distance in Å.
Atoms (fractional coordinates):
Na1 0.0000 0.0000 0.0000  2 O 2.26-2.34
Mg1 0.7975 0.3130 0.7442  4 O 2.02-2.05
V1 0.3307 0.6071 0.6986  4 O 1.74-1.92
V2 0.7496 0.9334 0.4166  4 O 1.79-1.89
Bi1 0.2213 0.5517 0.1545  4 O 2.17-2.35
Bi2 0.3034 0.1453 0.7504  3 O 2.15-2.23
Bi3 0.7552 0.3479 0.2891  4 O 2.16-2.42
O1 0.1227 0.4439 0.7733  1 V 1.92, 1 Mg 2.02
O2 0.1465 0.5289 0.4262  1 V 1.91
O3 0.3505 0.8687 0.8261  1 V 1.78
O4 0.3520 0.2750 0.0718  2 Bi 2.17-2.20
O5 0.5677 0.1116 0.4812  1 V 1.80
O6 0.5826 0.5096 0.7384  1 V 1.74
O7 0.6234 0.6624 0.3209  1 V 1.83
O8 0.8612 0.3309 0.0295  1 Mg 2.02, 1 Bi 2.16
O9 0.8805 0.0399 0.2702  1 V 1.79
O10 0.9394 0.0249 0.6849  1 V 1.89

Summary:
Energy above the most stable polymorph in this dataset (eV/f.u.): 0.00
Calculated formation energy (eV/atom): -2.06
Uncorrected energy (eV per atom): -6.290
Size of the total moment (μB per atom): 0.118

---

[5]
Material: Li5Mn5Cr2O12
Method: DFT, GGA+U
State: optimized geometry

Lattice parameters (Å, degrees): 5.1924 5.1924 9.9066 94.10 94.10 118.93
Last column: nearest neighbours and their distance in Å.
Atoms (fractional coordinates):
Li1 0.0000 0.0000 0.0000  6 O 2.12-2.20
Li2 0.2446 0.2510 0.7572  6 O 2.14-2.24
Li3 0.4054 0.0656 0.2391  5 O 2.03-2.24
Li4 0.7490 0.7554 0.2428  6 O 2.14-2.24
Li5 0.9344 0.5946 0.7609  5 O 2.03-2.24
Mn1 0.0788 0.4053 0.2428  5 O 2.00-2.23
Mn2 0.1637 0.8363 0.5000  6 O 2.11-2.16
Mn3 0.5006 0.4994 0.5000  6 O 2.10-2.19
Mn4 0.5947 0.9212 0.7572  5 O 2.00-2.23
Mn5 0.6626 0.3374 0.0000  6 O 2.00-2.18
Cr1 0.3313 0.6687 0.0000  6 O 2.02-2.07
Cr2 0.8322 0.1678 0.5000  6 O 2.04-2.05
O1 0.0518 0.6928 0.1260  2 Mn 2.00-2.18, 1 Cr 2.02, 3 Li 2.08-2.20
O2 0.1131 0.1369 0.3745  3 Mn 2.03-2.19, 1 Cr 2.04, 2 Li 2.20-2.24
O3 0.1874 0.5188 0.6169  1 Cr 2.05, 2 Mn 2.10-2.13, 2 Li 2.14-2.15
O4 0.3072 0.9482 0.8740  2 Mn 2.00-2.18, 1 Cr 2.02, 3 Li 2.08-2.20
O5 0.3798 0.3868 0.1197  1 Cr 2.04, 2 Mn 2.05-2.08, 3 Li 2.15-2.20
O6 0.4812 0.8126 0.3831  1 Cr 2.05, 2 Mn 2.10-2.13, 2 Li 2.14-2.15
O7 0.5371 0.1897 0.6186  1 Cr 2.04, 3 Mn 2.11-2.13, 1 Li 2.24
O8 0.6132 0.6202 0.8803  1 Cr 2.04, 2 Mn 2.05-2.08, 3 Li 2.15-2.20
O9 0.6844 0.0401 0.1118  2 Mn 2.00-2.23, 3 Li 2.03-2.16, 1 Cr 2.07
O10 0.8103 0.4629 0.3814  1 Cr 2.04, 3 Mn 2.11-2.13, 1 Li 2.24
O11 0.8631 0.8869 0.6255  3 Mn 2.03-2.19, 1 Cr 2.04, 2 Li 2.20-2.24
O12 0.9599 0.3156 0.8882  2 Mn 2.00-2.23, 3 Li 2.03-2.16, 1 Cr 2.07

Summary:
Calculated formation energy (eV/atom): -2.17
Uncorrected energy (eV per atom): -6.898
Size of the total moment (μB per atom): 1.167

---

[6]
Material: Ba2EuMoO6
Method: DFT, GGA+U
State: optimized geometry

Lattice parameters (Å, degrees): 6.1160 6.1160 6.1160 60.00 60.00 60.00
Last column: nearest neighbours and their distance in Å.
Atoms (fractional coordinates):
Ba1 0.2500 0.2500 0.2500  12 O 3.06
Ba2 0.7500 0.7500 0.7500  12 O 3.06
Eu1 0.0000 0.0000 0.0000  6 O 2.35
Mo1 0.5000 0.5000 0.5000  6 O 1.97
O1 0.2717 0.2717 0.7283  1 Mo 1.97
O2 0.2717 0.7283 0.2717  1 Mo 1.97
O3 0.2717 0.7283 0.7283  1 Mo 1.97
O4 0.7283 0.2717 0.2717  1 Mo 1.97
O5 0.7283 0.2717 0.7283  1 Mo 1.97
O6 0.7283 0.7283 0.2717  1 Mo 1.97

Summary:
Calculated formation energy (eV/atom): -2.87
Uncorrected energy (eV per atom): -7.602

---

[7]
Material: Mn4ZnO9
Method: DFT, GGA+U
State: optimized geometry

Lattice parameters (Å, degrees): 8.5572 8.5572 4.7616 90.00 90.00 90.00
Last column: nearest neighbours and their distance in Å.
Atoms (fractional coordinates):
Mn1 0.0323 0.6596 0.1033  4 O 1.76-1.96
Mn2 0.1596 0.9677 0.8967  4 O 1.76-1.96
Mn3 0.3404 0.5323 0.8967  4 O 1.76-1.96
Mn4 0.4677 0.8404 0.1033  4 O 1.76-1.96
Mn5 0.5323 0.1596 0.8967  4 O 1.76-1.96
Mn6 0.6596 0.4677 0.1033  4 O 1.76-1.96
Mn7 0.8404 0.0323 0.1033  4 O 1.76-1.96
Mn8 0.9677 0.3404 0.8967  4 O 1.76-1.96
Zn1 0.2500 0.2500 0.4941  4 O 1.99
Zn2 0.7500 0.7500 0.5059  4 O 1.99
O1 0.0282 0.3147 0.5474  1 Mn 1.76
O2 0.0378 0.1414 0.0301  3 Mn 1.91-1.96
O3 0.1414 0.4622 0.0301  3 Mn 1.91-1.96
O4 0.1853 0.0282 0.5474  1 Mn 1.76
O5 0.2500 0.7500 0.0000  4 Mn 2.08
O6 0.3147 0.4718 0.5474  1 Mn 1.76
O7 0.3586 0.0378 0.0301  3 Mn 1.91-1.96
O8 0.4622 0.3586 0.0301  3 Mn 1.91-1.96
O9 0.4718 0.1853 0.5474  1 Mn 1.76
O10 0.5282 0.8147 0.4526  1 Mn 1.76
O11 0.5378 0.6414 0.9699  3 Mn 1.91-1.96
O12 0.6414 0.9622 0.9699  3 Mn 1.91-1.96
O13 0.6853 0.5282 0.4526  1 Mn 1.76
O14 0.7500 0.2500 0.0000  4 Mn 2.08
O15 0.8147 0.9718 0.4526  1 Mn 1.76
O16 0.8586 0.5378 0.9699  3 Mn 1.91-1.96
O17 0.9622 0.8586 0.9699  3 Mn 1.91-1.96
O18 0.9718 0.6853 0.4526  1 Mn 1.76

Summary:
Calculated formation energy (eV/atom): -1.44
Uncorrected energy (eV per atom): -6.415
Size of the total moment (μB per atom): 0.857

---

[8]
Material: ZnW4O9
Method: DFT, GGA+U
State: optimized geometry

Lattice parameters (Å, degrees): 6.9197 6.9197 3.8800 90.00 90.00 90.00
Last column: nearest neighbours and their distance in Å.
Atoms (fractional coordinates):
Zn1 0.0000 0.0000 0.0000  12 O 2.90-3.17
W1 0.1983 0.3707 0.5000  5 O 1.94-2.12
W2 0.3707 0.8017 0.5000  5 O 1.94-2.12
W3 0.6293 0.1983 0.5000  5 O 1.94-2.12
W4 0.8017 0.6293 0.5000  5 O 1.94-2.12
O1 0.1073 0.6542 0.5000  3 W 2.06-2.12
O2 0.2021 0.3675 0.0000  2 W 1.94
O3 0.3458 0.1073 0.5000  3 W 2.06-2.12
O4 0.3675 0.7979 0.0000  2 W 1.94
O5 0.5000 0.5000 0.5000  4 W 2.27
O6 0.6325 0.2021 0.0000  2 W 1.94
O7 0.6542 0.8927 0.5000  3 W 2.06-2.12
O8 0.7979 0.6325 0.0000  2 W 1.94
O9 0.8927 0.3458 0.5000  3 W 2.06-2.12

Summary:
Energy above the most stable polymorph in this dataset (eV/f.u.): 0.00
Calculated formation energy (eV/atom): -1.67
Uncorrected energy (eV per atom): -6.930
Size of the total moment (μB per atom): 0.429